(1)
The following is a PBE-GGA calculation of a relaxed CaBiAsO5 crystal, from Materials Project.

Cell and atoms, written as CIF:
```
data_CaBiAsO5
_chemical_formula_sum 'Ca4 Bi4 As4 O20'
_space_group_name_H-M_alt 'P 21 21 21'
_space_group_IT_number 19
_space_group_name_Hall 'P 2ac 2ab'
_cell_length_a 7.099
_cell_length_b 7.345
_cell_length_c 9.436
_cell_angle_alpha 90.00
_cell_angle_beta 90.00
_cell_angle_gamma 90.00
loop_
_atom_site_label
_atom_site_fract_x
_atom_site_fract_y
_atom_site_fract_z
Ca1 0.005 0.191 0.160
Bi1 0.237 0.777 0.987
As1 0.051 0.359 0.828
O1 0.015 0.372 0.370
O2 0.027 0.544 0.945
O3 0.156 0.197 0.933
O4 0.172 0.822 0.734
O5 0.210 0.399 0.694
```

Calculated values
**DFT formation energy**: -2.175 eV/atom
**Total moment**: 0.00 μB per cell
**Total energy**: -197.023 eV per cell

=====

(2)
The following is a PBE-GGA calculation of a relaxed Na2Cu3Bi2As2O13 crystal, from Materials Project.

Cell and atoms, written as CIF:
```
data_Na2Cu3Bi2As2O13
_chemical_formula_sum 'Na4 Cu6 Bi4 As4 O26'
_space_group_name_H-M_alt 'C 1 2 1'
_space_group_IT_number 5
_space_group_name_Hall 'C 2y'
_cell_length_a 9.962
_cell_length_b 5.227
_cell_length_c 13.024
_cell_angle_alpha 90.00
_cell_angle_beta 108.23
_cell_angle_gamma 90.00
loop_
_atom_site_label
_atom_site_fract_x
_atom_site_fract_y
_atom_site_fract_z
Na1 0.164 0.000 0.076
Cu1 0.000 0.100 0.500
Cu2 0.179 0.575 0.668
Bi1 0.157 0.596 0.398
As1 0.098 0.078 0.784
O1 0.000 0.628 0.000
O2 0.058 0.116 0.324
O3 0.079 0.161 0.904
O4 0.149 0.848 0.561
O5 0.152 0.355 0.543
O6 0.158 0.762 0.789
O7 0.233 0.262 0.757
```

Calculated values
**DFT formation energy**: -1.425 eV/atom
**Total moment**: 4.77 μB per cell
**Total energy**: -237.554 eV per cell

=====

(3)
The following is a PBE-GGA calculation of a relaxed Cu2BiAsO6 crystal, from Materials Project.

Cell and atoms, written as CIF:
```
data_Cu2BiAsO6
_chemical_formula_sum 'Cu8 Bi4 As4 O24'
_space_group_name_H-M_alt 'P n m a'
_space_group_IT_number 62
_space_group_name_Hall '-P 2ac 2n'
_cell_length_a 12.488
_cell_length_b 5.294
_cell_length_c 7.751
_cell_angle_alpha 90.00
_cell_angle_beta 90.00
_cell_angle_gamma 90.00
loop_
_atom_site_label
_atom_site_fract_x
_atom_site_fract_y
_atom_site_fract_z
Cu1 0.128 0.250 0.218
Cu2 0.194 0.750 0.455
Bi1 0.057 0.250 0.650
As1 0.127 0.750 0.975
O1 0.003 0.750 0.065
O2 0.089 0.501 0.389
O3 0.121 0.750 0.756
O4 0.200 0.011 0.056
```

Calculated values
**DFT formation energy**: -1.397 eV/atom
**Total moment**: 0.00 μB per cell
**Total energy**: -225.133 eV per cell

=====

(4)
The following is a PBE-GGA calculation of a relaxed Cu6BiAs3O21 crystal, from Materials Project.

Cell and atoms, written as CIF:
```
data_Cu6BiAs3O21
_chemical_formula_sum 'Cu12 Bi2 As6 O42'
_space_group_name_H-M_alt 'P 63/m'
_space_group_IT_number 176
_space_group_name_Hall '-P 6c'
_cell_length_a 13.8826
_cell_length_b 13.8826
_cell_length_c 5.7827
_cell_angle_alpha 90.00
_cell_angle_beta 90.00
_cell_angle_gamma 120.00
loop_
_atom_site_label
_atom_site_fract_x
_atom_site_fract_y
_atom_site_fract_z
Cu1 0.0981 0.4113 0.0017
Bi1 0.3333 0.6667 0.7500
As1 0.1484 0.6564 0.2500
O1 0.0060 0.6162 0.2500
O2 0.0071 0.3757 0.2500
O3 0.0448 0.8808 0.2500
O4 0.1772 0.6047 0.0096
O5 0.1898 0.4421 0.7500
O6 0.1954 0.4117 0.2500
```

Calculated values
**DFT formation energy**: -0.803 eV/atom
**Total moment**: 16.36 μB per cell
**Total energy**: -313.683 eV per cell

=====

(5)
The following is a PBE-GGA calculation of a relaxed Ga4Bi3As crystal, from Materials Project.

Cell and atoms, written as CIF:
```
data_Ga4Bi3As
_chemical_formula_sum 'Ga12 Bi9 As3'
_space_group_name_H-M_alt 'R 3 m'
_space_group_IT_number 160
_space_group_name_Hall 'R 3 -2"'
_cell_length_a 4.5000
_cell_length_b 4.5000
_cell_length_c 43.0212
_cell_angle_alpha 90.00
_cell_angle_beta 90.00
_cell_angle_gamma 120.00
loop_
_atom_site_label
_atom_site_fract_x
_atom_site_fract_y
_atom_site_fract_z
Ga1 0.0000 0.0000 0.0000
Ga2 0.0000 0.0000 0.2458
Ga3 0.0000 0.0000 0.4939
Ga4 0.0000 0.0000 0.7405
Bi1 0.0000 0.0000 0.3104
Bi2 0.0000 0.0000 0.5583
Bi3 0.0000 0.0000 0.8059
As1 0.0000 0.0000 0.0584
```

Calculated values
**DFT formation energy**: 0.012 eV/atom
**Total moment**: 0.01 μB per cell
**Total energy**: -85.036 eV per cell

=====

(6)
The following is a PBE-GGA calculation of a relaxed K3Bi2As3O12 crystal, from Materials Project.

Cell and atoms, written as CIF:
```
data_K3Bi2As3O12
_chemical_formula_sum 'K12 Bi8 As12 O48'
_space_group_name_H-M_alt 'C 1 2/c 1'
_space_group_IT_number 15
_space_group_name_Hall '-C 2yc'
_cell_length_a 14.228
_cell_length_b 14.051
_cell_length_c 7.177
_cell_angle_alpha 90.00
_cell_angle_beta 114.73
_cell_angle_gamma 90.00
loop_
_atom_site_label
_atom_site_fract_x
_atom_site_fract_y
_atom_site_fract_z
K1 0.000 0.000 0.000
K2 0.000 0.224 0.250
K3 0.000 0.486 0.250
Bi1 0.236 0.352 0.166
As1 0.000 0.254 0.750
As2 0.244 0.394 0.639
O1 0.067 0.332 0.952
O2 0.075 0.183 0.673
O3 0.142 0.067 0.361
O4 0.170 0.487 0.662
O5 0.173 0.336 0.409
O6 0.232 0.184 0.156
```

Calculated values
**DFT formation energy**: -1.945 eV/atom
**Total moment**: 0.00 μB per cell
**Total energy**: -460.502 eV per cell